1.
# YTi2Ga4 (r²SCAN, relaxed)
data_YTi2Ga4
_chemical_formula_sum 'Y2 Ti4 Ga8'
_symmetry_space_group_name_H-M 'I 4/m m m'
_symmetry_Int_Tables_number 139
_symmetry_space_group_name_Hall '-I 4 2'
_cell_length_a 6.727
_cell_length_b 6.727
_cell_length_c 5.434
_cell_angle_alpha 90.00
_cell_angle_beta 90.00
_cell_angle_gamma 90.00
loop_
_atom_site_label
_atom_site_type_symbol
_atom_site_fract_x
_atom_site_fract_y
_atom_site_fract_z
Y1 Y 0.000 0.000 0.000
Ti1 Ti 0.000 0.500 0.250
Ga1 Ga 0.197 0.197 0.500
# * theoretical density: 6260 kg/m³
# * energy relative to the elements: -0.60 eV/atom

***

2.
# CeCu5Au (r²SCAN, relaxed)
data_CeCu5Au
_chemical_formula_sum 'Ce4 Cu20 Au4'
_symmetry_space_group_name_H-M 'P n m a'
_symmetry_Int_Tables_number 62
_cell_length_a 8.188
_cell_length_b 5.039
_cell_length_c 10.326
_cell_angle_alpha 90.00
_cell_angle_beta 90.00
_cell_angle_gamma 90.00
loop_
_symmetry_equiv_pos_as_xyz
'x,y,z'
'-x,-y,-z'
'-x+1/2,-y,z+1/2'
'x+1/2,y,-z+1/2'
'x+1/2,-y+1/2,-z+1/2'
'-x+1/2,y+1/2,z+1/2'
'-x,y+1/2,-z'
'x,-y+1/2,z'
loop_
_atom_site_label
_atom_site_type_symbol
_atom_site_fract_x
_atom_site_fract_y
_atom_site_fract_z
Ce1 Ce 0.241 0.250 0.065
Cu1 Cu 0.055 0.750 0.108
Cu2 Cu 0.067 0.000 0.313
Cu3 Cu 0.089 0.250 0.516
Cu4 Cu 0.183 0.250 0.746
Au1 Au 0.141 0.750 0.863
# * theoretical density: 10209 kg/m³
# * energy relative to the elements: -0.24 eV/atom